Compound: MgMn5O7F
Source: the Materials Project database
Functional: PBE+U
Structure: optimized geometry

Unit cell a=6.217 b=6.217 c=6.217 alpha=59.53 beta=120.46 gamma=120.47
Fractional positions:
Mn 0.989 0.011 0.011
Mn 0.365 0.635 0.118
Mn 0.366 0.118 0.634
Mn 0.882 0.634 0.634
Mn 0.376 0.624 0.624
Mg 0.773 0.228 0.227
O 0.574 0.873 0.873
O 0.127 0.426 0.873
O 0.626 0.374 0.827
O 0.127 0.873 0.426
O 0.122 0.879 0.878
O 0.173 0.374 0.374
O 0.626 0.827 0.374
F 0.644 0.356 0.356

Properties
Calculated volume ... 168 Å³ per cell
Energy ... -7.28 eV per atom
Magnetic moment ... 22.00 μB/f.u.
Energy of formation from the pure elements ... -2254 meV per atom
Energy above the lowest structure with this stoichiometry ... 0 meV per atom

***

Compound: MgMn6O7F5
Source: the Materials Project database
Functional: PBE+U
Structure: optimized geometry

Unit cell a=5.176 b=7.921 c=5.832 alpha=96.94 beta=82.30 gamma=95.66
Fractional positions:
Mn 0.018 0.992 0.017
Mn 0.513 0.342 0.864
Mn 0.993 0.244 0.516
Mn 0.986 0.693 0.670
Mn 0.478 0.005 0.474
Mn 0.478 0.699 0.114
F 0.309 0.580 0.811
F 0.659 0.744 0.465
F 0.211 0.225 0.046
F 0.192 0.593 0.375
F 0.726 0.118 0.777
O 0.798 0.460 0.655
O 0.604 0.479 0.125
O 0.187 0.915 0.699
O 0.806 0.078 0.297
O 0.371 0.259 0.568
O 0.321 0.906 0.200
O 0.807 0.784 0.957
Mg 0.513 0.493 0.465

Properties
Calculated volume ... 234 Å³ per cell
Energy ... -6.76 eV per atom
Magnetic moment ... 25.00 μB/f.u.
Energy of formation from the pure elements ... -2352 meV per atom
Energy above the lowest structure with this stoichiometry ... 53 meV per atom

***

Compound: MgMn6O11F
Source: the Materials Project database
Functional: PBE+U
Structure: optimized geometry

Unit cell a=8.151 b=5.683 c=5.879 alpha=67.53 beta=62.95 gamma=64.66
Fractional positions:
Mn 0.673 0.369 0.330
Mn 0.316 0.634 0.669
Mn 0.522 0.026 0.014
Mn 0.119 0.318 0.322
Mn 0.869 0.679 0.682
Mn 0.978 0.003 0.010
O 0.001 0.698 0.309
O 0.668 0.655 0.029
O 0.588 0.591 0.557
O 0.041 0.769 0.789
O 0.396 0.414 0.454
O 0.672 0.040 0.644
O 0.321 0.359 0.976
O 0.700 0.111 0.147
O 0.947 0.236 0.210
O 0.328 0.976 0.369
O 0.992 0.302 0.696
F 0.283 0.897 0.868
Mg 0.494 0.998 0.526

Properties
Calculated volume ... 213 Å³ per cell
Energy ... -7.00 eV per atom
Magnetic moment ... 21.00 μB/f.u.
Energy of formation from the pure elements ... -2002 meV per atom
Energy above the lowest structure with this stoichiometry ... 11 meV per atom

***

Compound: MgMn12O17F7
Source: the Materials Project database
Functional: PBE+U
Structure: optimized geometry

Unit cell a=4.778 b=5.728 c=15.058 alpha=91.07 beta=87.04 gamma=90.16
Fractional positions:
Mn 0.496 0.351 0.920
Mn 0.454 0.376 0.247
Mn 0.508 0.604 0.424
Mn 0.478 0.651 0.089
Mn 0.000 0.171 0.077
Mn 0.528 0.339 0.597
Mn 0.044 0.167 0.747
Mn 0.051 0.811 0.584
Mn 0.508 0.635 0.757
Mn 0.011 0.353 0.411
Mn 0.000 0.841 0.908
Mn 0.014 0.843 0.246
F 0.776 0.123 0.849
F 0.769 0.097 0.517
F 0.738 0.142 0.191
F 0.775 0.866 0.691
F 0.246 0.625 0.985
F 0.738 0.843 0.360
F 0.741 0.874 0.024
O 0.295 0.833 0.477
O 0.239 0.881 0.801
O 0.720 0.621 0.862
O 0.796 0.557 0.505
O 0.240 0.424 0.148
O 0.288 0.399 0.813
O 0.754 0.385 0.694
O 0.209 0.143 0.318
O 0.323 0.357 0.483
O 0.219 0.911 0.133
O 0.678 0.629 0.194
O 0.325 0.596 0.646
O 0.200 0.120 0.964
O 0.250 0.113 0.638
O 0.249 0.599 0.324
O 0.695 0.389 0.029
O 0.683 0.356 0.350
Mg 0.491 0.081 0.413

Properties
Calculated volume ... 411 Å³ per cell
Energy ... -6.83 eV per atom
Magnetic moment ... 44.89 μB/f.u.
Energy of formation from the pure elements ... -2126 meV per atom
Energy above the lowest structure with this stoichiometry ... 4 meV per atom